Entry a
{"formula": "Ba3Y2Cl12", "functional": "PBE", "state": "relaxed", "cell": [[-11.011, -2.011, 5.297], [5.683, -7.178, 9.089], [7.266, 3.583, 16.463]], "species": ["Y", "Ba", "Cl", "Y", "Cl", "Cl", "Ba", "Cl", "Cl", "Y", "Cl", "Cl", "Y", "Y", "Cl", "Cl", "Y", "Cl", "Ba", "Cl", "Cl", "Cl", "Cl", "Ba", "Ba", "Cl", "Cl", "Ba", "Cl", "Cl", "Cl", "Cl", "Cl", "Cl", "Ba", "Cl", "Cl", "Cl", "Cl", "Cl", "Cl", "Ba", "Cl", "Ba", "Cl", "Cl", "Cl", "Cl", "Ba", "Cl", "Cl", "Cl", "Cl", "Cl", "Cl", "Cl", "Cl", "Cl", "Cl", "Cl", "Cl", "Cl", "Cl", "Ba", "Ba", "Y", "Cl", "Y"], "frac_coords": [[0.647, 0.267, 0.425], [0.217, 0.225, 0.799], [0.952, 0.754, 0.650], [0.835, 0.957, 0.852], [0.203, 0.881, 0.433], [0.483, 0.641, 0.721], [0.283, 0.225, 0.299], [0.133, 0.014, 0.704], [0.071, 0.581, 0.040], [0.665, 0.957, 0.352], [0.429, 0.581, 0.540], [0.256, 0.903, 0.598], [0.165, 0.043, 0.148], [0.335, 0.043, 0.648], [0.796, 0.447, 0.296], [0.296, 0.553, 0.204], [0.853, 0.267, 0.925], [0.744, 0.097, 0.402], [0.008, 0.325, 0.481], [0.775, 0.721, 0.040], [0.638, 0.571, 0.929], [0.704, 0.447, 0.796], [0.862, 0.571, 0.429], [0.992, 0.675, 0.519], [0.508, 0.675, 0.019], [0.017, 0.641, 0.221], [0.475, 0.964, 0.424], [0.111, 0.677, 0.810], [0.608, 0.800, 0.318], [0.867, 0.986, 0.296], [0.452, 0.246, 0.850], [0.048, 0.246, 0.350], [0.725, 0.721, 0.540], [0.983, 0.359, 0.779], [0.492, 0.325, 0.981], [0.392, 0.200, 0.682], [0.618, 0.220, 0.184], [0.797, 0.119, 0.567], [0.892, 0.800, 0.818], [0.975, 0.036, 0.076], [0.025, 0.964, 0.924], [0.783, 0.775, 0.201], [0.244, 0.903, 0.098], [0.889, 0.323, 0.190], [0.571, 0.419, 0.460], [0.204, 0.553, 0.704], [0.118, 0.780, 0.316], [0.362, 0.429, 0.071], [0.717, 0.775, 0.701], [0.525, 0.036, 0.576], [0.548, 0.754, 0.150], [0.633, 0.986, 0.796], [0.703, 0.119, 0.067], [0.108, 0.200, 0.182], [0.929, 0.419, 0.960], [0.367, 0.014, 0.204], [0.382, 0.780, 0.816], [0.225, 0.279, 0.960], [0.882, 0.220, 0.684], [0.275, 0.279, 0.460], [0.756, 0.097, 0.902], [0.517, 0.359, 0.279], [0.297, 0.881, 0.933], [0.611, 0.323, 0.690], [0.389, 0.677, 0.310], [0.353, 0.733, 0.575], [0.138, 0.429, 0.571], [0.147, 0.733, 0.075]], "magnetic_moment_mub_per_cell": 0.000}

***

Entry b
{"formula": "Ba3Y2Cl12", "functional": "PBE", "state": "relaxed", "cell": [[-0.102, -9.018, -9.196], [11.957, 0.817, -0.934], [11.986, -10.896, 10.554]], "species": ["Cl", "Ba", "Y", "Cl", "Y", "Cl", "Cl", "Y", "Cl", "Cl", "Cl", "Cl", "Cl", "Cl", "Y", "Cl", "Cl", "Cl", "Cl", "Cl", "Cl", "Cl", "Cl", "Cl", "Ba", "Ba", "Cl", "Ba", "Cl", "Cl", "Y", "Cl", "Cl", "Cl", "Cl", "Cl", "Cl", "Cl", "Ba", "Y", "Ba", "Cl", "Cl", "Cl", "Cl", "Y", "Ba", "Cl", "Ba", "Ba", "Ba", "Cl", "Cl", "Cl", "Cl", "Cl", "Ba", "Cl", "Cl", "Cl", "Y", "Cl", "Cl", "Ba", "Cl", "Cl", "Cl", "Cl"], "frac_coords": [[0.809, 0.977, 0.234], [0.131, 0.718, 0.147], [0.031, 0.887, 0.858], [0.127, 0.190, 0.430], [0.531, 0.113, 0.642], [0.873, 0.810, 0.570], [0.697, 0.505, 0.841], [0.982, 0.370, 0.364], [0.523, 0.841, 0.246], [0.115, 0.948, 0.965], [0.191, 0.023, 0.766], [0.126, 0.544, 0.345], [0.847, 0.329, 0.050], [0.153, 0.671, 0.950], [0.969, 0.113, 0.142], [0.303, 0.495, 0.159], [0.372, 0.240, 0.543], [0.514, 0.485, 0.706], [0.853, 0.170, 0.407], [0.977, 0.841, 0.746], [0.653, 0.329, 0.550], [0.023, 0.159, 0.254], [0.647, 0.170, 0.907], [0.073, 0.890, 0.212], [0.295, 0.429, 0.023], [0.795, 0.571, 0.477], [0.035, 0.675, 0.480], [0.369, 0.718, 0.647], [0.465, 0.675, 0.980], [0.573, 0.110, 0.288], [0.469, 0.887, 0.358], [0.626, 0.456, 0.155], [0.535, 0.325, 0.020], [0.986, 0.485, 0.206], [0.427, 0.890, 0.712], [0.347, 0.671, 0.450], [0.309, 0.023, 0.266], [0.385, 0.948, 0.465], [0.654, 0.038, 0.102], [0.518, 0.370, 0.864], [0.846, 0.038, 0.602], [0.628, 0.760, 0.457], [0.803, 0.505, 0.341], [0.872, 0.760, 0.957], [0.627, 0.810, 0.070], [0.018, 0.630, 0.636], [0.154, 0.962, 0.398], [0.927, 0.110, 0.788], [0.705, 0.571, 0.977], [0.869, 0.282, 0.853], [0.205, 0.429, 0.523], [0.874, 0.456, 0.655], [0.374, 0.544, 0.845], [0.486, 0.515, 0.294], [0.353, 0.830, 0.093], [0.885, 0.052, 0.035], [0.631, 0.282, 0.353], [0.965, 0.325, 0.520], [0.147, 0.830, 0.593], [0.128, 0.240, 0.043], [0.482, 0.630, 0.136], [0.691, 0.977, 0.734], [0.373, 0.190, 0.930], [0.346, 0.962, 0.898], [0.477, 0.159, 0.754], [0.615, 0.052, 0.535], [0.197, 0.495, 0.659], [0.014, 0.515, 0.794]], "magnetic_moment_mub_per_cell": 0.000}

***

Which of them is least stable? Easy: entry b.

***

Entry a
{"formula": "BaMg6Co", "functional": "PBE", "state": "relaxed", "cell": [[-4.619, 6.607, -1.253], [-0.357, -7.881, -2.076], [-2.285, -0.886, 3.756]], "species": ["Mg", "Mg", "Ba", "Mg", "Mg", "Mg", "Mg", "Co"], "frac_coords": [[0.705, 0.791, 0.000], [0.681, 0.319, 0.000], [0.276, 0.724, 0.500], [0.838, 0.684, 0.500], [0.209, 0.295, 0.000], [0.316, 0.162, 0.500], [0.870, 0.130, 0.500], [0.104, 0.896, 0.000]], "magnetic_moment_mub_per_cell": 0.163}

***

Entry b
{"formula": "BaMg6Co", "functional": "PBE", "state": "relaxed", "cell": [[-3.786, 1.343, 2.950], [-3.785, -2.958, -3.510], [1.862, -11.339, 7.549]], "species": ["Mg", "Mg", "Co", "Mg", "Mg", "Ba", "Mg", "Mg", "Mg", "Mg", "Mg", "Co", "Mg", "Ba", "Mg", "Mg"], "frac_coords": [[0.000, 0.500, 0.374], [0.000, 0.765, 0.075], [0.500, 0.500, 0.595], [0.500, 0.745, 0.945], [0.000, 0.000, 0.289], [0.500, 0.500, 0.202], [0.000, 0.000, 0.874], [0.000, 0.500, 0.789], [0.500, 0.755, 0.445], [0.500, 0.245, 0.445], [0.000, 0.235, 0.075], [0.500, 0.000, 0.095], [0.000, 0.735, 0.575], [0.500, 0.000, 0.702], [0.500, 0.255, 0.945], [0.000, 0.265, 0.575]], "magnetic_moment_mub_per_cell": 0.008}

***

Which of them is least stable? Easy: entry b.

***

Entry a
{"formula": "BaMg14Cr", "functional": "PBE", "state": "relaxed", "cell": [[-0.470, 5.092, -4.153], [-5.447, -2.661, 2.578], [0.581, 6.674, 8.117]], "species": ["Ba", "Mg", "Mg", "Mg", "Mg", "Mg", "Mg", "Mg", "Mg", "Mg", "Mg", "Cr", "Mg", "Mg", "Mg", "Mg"], "frac_coords": [[0.167, 0.333, 0.125], [0.833, 0.667, 0.368], [0.660, 0.321, 0.125], [0.833, 0.667, 0.882], [0.669, 0.338, 0.625], [0.336, 0.164, 0.393], [0.660, 0.840, 0.125], [0.179, 0.840, 0.125], [0.669, 0.831, 0.625], [0.162, 0.831, 0.625], [0.828, 0.164, 0.393], [0.167, 0.333, 0.625], [0.336, 0.164, 0.857], [0.828, 0.164, 0.857], [0.336, 0.672, 0.857], [0.336, 0.672, 0.393]], "magnetic_moment_mub_per_cell": 3.901}

***

Entry b
{"formula": "BaMg14Cr", "functional": "PBE", "state": "relaxed", "cell": [[6.604, 0.082, 0.000], [-3.231, 5.596, 0.000], [0.000, 0.000, 10.568]], "species": ["Mg", "Mg", "Mg", "Mg", "Mg", "Mg", "Mg", "Mg", "Mg", "Mg", "Mg", "Cr", "Mg", "Ba", "Mg", "Mg"], "frac_coords": [[0.167, 0.334, 0.625], [0.654, 0.836, 0.125], [0.654, 0.318, 0.125], [0.842, 0.671, 0.887], [0.162, 0.831, 0.625], [0.842, 0.671, 0.363], [0.825, 0.163, 0.392], [0.825, 0.163, 0.858], [0.666, 0.338, 0.625], [0.340, 0.161, 0.387], [0.666, 0.829, 0.625], [0.177, 0.839, 0.125], [0.340, 0.680, 0.387], [0.157, 0.329, 0.125], [0.340, 0.161, 0.863], [0.340, 0.680, 0.863]], "magnetic_moment_mub_per_cell": 3.699}

***

Which of them is least stable? Easy: entry a.

***

Entry a
{"formula": "BaMg6Cr", "functional": "PBE", "state": "relaxed", "cell": [[5.181, 0.000, 0.000], [0.000, 6.869, 0.000], [0.000, 0.000, 12.095]], "species": ["Mg", "Mg", "Mg", "Mg", "Cr", "Mg", "Ba", "Mg", "Cr", "Mg", "Mg", "Mg", "Mg", "Mg", "Mg", "Ba"], "frac_coords": [[0.000, 0.000, 0.335], [0.500, 0.277, 0.933], [0.000, 0.732, 0.081], [0.500, 0.500, 0.666], [0.500, 0.000, 0.643], [0.500, 0.723, 0.933], [0.000, 0.500, 0.329], [0.500, 0.777, 0.433], [0.500, 0.500, 0.143], [0.500, 0.223, 0.433], [0.000, 0.268, 0.081], [0.000, 0.500, 0.835], [0.000, 0.232, 0.581], [0.000, 0.768, 0.581], [0.500, 0.000, 0.166], [0.000, 0.000, 0.829]], "magnetic_moment_mub_per_cell": 8.882}

***

Entry b
{"formula": "BaMg6Cr", "functional": "PBE", "state": "relaxed", "cell": [[5.269, 0.000, 0.000], [0.000, 6.725, 0.000], [0.000, 0.000, 11.869]], "species": ["Mg", "Mg", "Mg", "Cr", "Mg", "Mg", "Mg", "Ba", "Mg", "Mg", "Mg", "Ba", "Cr", "Mg", "Mg", "Mg"], "frac_coords": [[0.500, 0.245, 0.419], [0.000, 0.000, 0.823], [0.500, 0.745, 0.919], [0.500, 0.000, 0.661], [0.000, 0.000, 0.347], [0.000, 0.723, 0.081], [0.000, 0.500, 0.847], [0.500, 0.000, 0.168], [0.500, 0.755, 0.419], [0.000, 0.223, 0.581], [0.000, 0.777, 0.581], [0.500, 0.500, 0.668], [0.500, 0.500, 0.161], [0.000, 0.277, 0.081], [0.000, 0.500, 0.323], [0.500, 0.255, 0.919]], "magnetic_moment_mub_per_cell": 8.677}

***

Which of them is least stable? Easy: entry b.

***

Entry a
{"formula": "Ba3Cr2N4", "functional": "PBE", "state": "relaxed", "cell": [[-2.410, -5.529, -1.316], [9.191, -4.179, 0.728], [-1.552, -1.686, 9.921]], "species": ["N", "Ba", "N", "N", "N", "Ba", "Cr", "N", "Cr", "N", "Ba", "N", "N", "Cr", "Ba", "Ba", "Cr", "N", "Cr", "N", "N", "Ba", "Cr", "N", "Ba", "Ba", "Cr", "Ba", "N", "Ba", "N", "N", "Ba", "Cr", "Ba", "N"], "frac_coords": [[0.650, 0.646, 0.641], [0.375, 0.843, 0.582], [0.150, 0.646, 0.359], [0.541, 0.092, 0.672], [0.459, 0.592, 0.172], [0.125, 0.343, 0.918], [0.250, 0.500, 0.264], [0.959, 0.908, 0.672], [0.750, 0.000, 0.764], [0.041, 0.408, 0.172], [0.125, 0.157, 0.582], [0.459, 0.908, 0.328], [0.650, 0.854, 0.859], [0.750, 0.500, 0.736], [0.250, 0.500, 0.596], [0.625, 0.157, 0.418], [0.330, 0.750, 0.250], [0.541, 0.408, 0.828], [0.830, 0.750, 0.750], [0.850, 0.146, 0.859], [0.041, 0.092, 0.328], [0.375, 0.657, 0.918], [0.170, 0.250, 0.250], [0.850, 0.354, 0.641], [0.875, 0.657, 0.082], [0.625, 0.343, 0.082], [0.670, 0.250, 0.750], [0.875, 0.843, 0.418], [0.350, 0.146, 0.141], [0.750, 0.500, 0.404], [0.150, 0.854, 0.141], [0.350, 0.354, 0.359], [0.750, 0.000, 0.096], [0.250, 0.000, 0.236], [0.250, 0.000, 0.904], [0.959, 0.592, 0.828]], "magnetic_moment_mub_per_cell": 0.147}

***

Entry b
{"formula": "Ba3Cr2N4", "functional": "PBE", "state": "relaxed", "cell": [[-6.654, 3.494, 1.757], [0.999, -8.747, -1.730], [1.143, -0.974, 5.583]], "species": ["N", "Ba", "Cr", "N", "Cr", "N", "Ba", "Ba", "N", "Cr", "Cr", "Ba", "N", "N", "N", "N", "Ba", "Ba"], "frac_coords": [[0.708, 0.049, 0.466], [0.743, 0.741, 0.441], [0.428, 0.837, 0.439], [0.292, 0.951, 0.534], [0.572, 0.163, 0.561], [0.614, 0.276, 0.850], [0.000, 0.599, 0.750], [0.000, 0.401, 0.250], [0.708, 0.659, 0.966], [0.572, 0.409, 0.061], [0.428, 0.591, 0.939], [0.257, 0.997, 0.059], [0.386, 0.724, 0.150], [0.386, 0.662, 0.650], [0.614, 0.338, 0.350], [0.292, 0.341, 0.034], [0.743, 0.003, 0.941], [0.257, 0.259, 0.559]], "magnetic_moment_mub_per_cell": 0.022}

***

Which of them is least stable? Easy: entry b.

***

Entry a
{"formula": "CsBa3", "functional": "PBE", "state": "relaxed", "cell": [[0.000, 5.221, 5.221], [5.221, 0.000, 5.221], [5.221, 5.221, 0.000]], "species": ["Ba", "Ba", "Ba", "Cs"], "frac_coords": [[0.250, 0.250, 0.250], [0.750, 0.750, 0.750], [0.500, 0.500, 0.500], [0.000, 0.000, 0.000]], "magnetic_moment_mub_per_cell": 0.552}

***

Entry b
{"formula": "CsBa3", "functional": "PBE", "state": "relaxed", "cell": [[-4.550, -4.107, -2.459], [4.185, -1.766, -4.794], [2.323, -4.861, 3.819]], "species": ["Ba", "Ba", "Ba", "Cs"], "frac_coords": [[0.000, 0.500, 0.500], [0.500, 0.000, 0.500], [0.500, 0.500, 0.000], [0.000, 0.000, 0.000]], "magnetic_moment_mub_per_cell": 0.060}

***

Which of them is least stable? Easy: entry a.

***

Entry a
{"formula": "CsBaMg6", "functional": "PBE", "state": "relaxed", "cell": [[-4.891, -1.395, 0.893], [2.300, -6.081, 3.097], [0.443, 6.870, 13.160]], "species": ["Mg", "Mg", "Mg", "Cs", "Mg", "Mg", "Mg", "Mg", "Mg", "Ba", "Cs", "Mg", "Mg", "Mg", "Mg", "Ba"], "frac_coords": [[0.000, 0.261, 0.036], [0.500, 0.241, 0.922], [0.500, 0.759, 0.922], [0.500, 0.000, 0.182], [0.000, 0.000, 0.862], [0.000, 0.500, 0.868], [0.500, 0.741, 0.422], [0.000, 0.239, 0.536], [0.500, 0.259, 0.422], [0.500, 0.500, 0.171], [0.500, 0.500, 0.682], [0.000, 0.739, 0.036], [0.000, 0.000, 0.368], [0.000, 0.500, 0.362], [0.000, 0.761, 0.536], [0.500, 0.000, 0.671]], "magnetic_moment_mub_per_cell": 0.002}

***

Entry b
{"formula": "CsBaMg6", "functional": "PBE", "state": "relaxed", "cell": [[5.457, 0.000, 0.000], [0.000, 7.673, 0.000], [0.000, 0.000, 12.639]], "species": ["Mg", "Mg", "Mg", "Cs", "Mg", "Mg", "Mg", "Mg", "Mg", "Mg", "Ba", "Ba", "Mg", "Cs", "Mg", "Mg"], "frac_coords": [[0.000, 0.500, 0.832], [0.000, 0.000, 0.332], [0.500, 0.798, 0.413], [0.000, 0.000, 0.844], [0.500, 0.298, 0.913], [0.500, 0.202, 0.413], [0.000, 0.717, 0.587], [0.000, 0.783, 0.087], [0.500, 0.500, 0.667], [0.000, 0.217, 0.087], [0.500, 0.000, 0.658], [0.500, 0.500, 0.158], [0.500, 0.702, 0.913], [0.000, 0.500, 0.344], [0.500, 0.000, 0.167], [0.000, 0.283, 0.587]], "magnetic_moment_mub_per_cell": 0.008}

***

Which of them is least stable? Easy: entry b.